This record from the Materials Project describes crystalline CaTb4Al2Fe2O12 at its relaxed geometry. The functional is GGA+U.

Cell: 5.7615 6.0361 7.3746 Å, 89.32 91.31 96.87°
Sites, in units of the cell vectors:
Tb (0.4857, 0.5675, 0.2515)
O (0.7740, 0.8796, 0.0567)
O (0.0877, 0.4417, 0.2523)
O (0.6387, 0.3342, 0.0415)
Fe (0.6111, 0.0099, 0.4790)
O (0.0955, 0.2099, 0.5722)
O (0.3030, 0.6323, 0.5386)
Al (0.4866, 0.9943, 0.0142)
Fe (0.9624, 0.6036, 0.0354)
O (0.8882, 0.5602, 0.7486)
O (0.5417, 0.0410, 0.7474)
Tb (0.1553, 0.8719, 0.6991)
Tb (0.0491, 0.0613, 0.2537)
Al (0.9715, 0.4869, 0.4891)
O (0.3210, 0.6907, 0.9519)
Tb (0.4609, 0.4212, 0.7503)
O (0.8669, 0.7833, 0.4334)
O (0.6643, 0.3478, 0.4601)
Ca (0.8904, 0.2059, 0.8453)
O (0.2164, 0.1240, 0.9603)
O (0.4046, 0.9471, 0.2588)

Properties
The size of the total moment comes out at 0.381 μB/atom. Its total energy after the MP2020 corrections is -8.091 eV/atom. The value obtained for the excess energy over the best structure of this formula in the dataset is 32 kJ/mol of formula units. The value obtained for the calculated formation energy is -3.122 eV/atom.